DFT (PBE) results for a relaxed GaBi2N3 crystal.

Cell and atoms, written as POSCAR:
```
GaBi2N3
1.0
-0.0510 2.8542 5.3404
-2.0558 -8.4911 -6.0157
12.8103 -5.7403 3.7245
Ga Bi N
4 8 12
direct
0.5729 0.3292 0.6731 Ga
0.4271 0.7563 0.8269 Ga
0.4271 0.6708 0.3269 Ga
0.5729 0.2437 0.1731 Ga
0.4815 0.1070 0.9198 Bi
0.5185 0.6255 0.5802 Bi
0.5185 0.8930 0.0802 Bi
0.4815 0.3745 0.4198 Bi
0.5933 0.9779 0.6366 Bi
0.4067 0.3846 0.8634 Bi
0.4067 0.0221 0.3634 Bi
0.5933 0.6154 0.1366 Bi
0.0000 0.6350 0.7500 N
0.0000 0.3650 0.2500 N
0.7827 0.2729 0.6273 N
0.2173 0.4902 0.8727 N
0.2173 0.7271 0.3727 N
0.7827 0.5098 0.1273 N
0.4568 0.0709 0.0718 N
0.5432 0.6140 0.4282 N
0.5432 0.9291 0.9282 N
0.4568 0.3860 0.5718 N
0.0000 0.0852 0.7500 N
0.0000 0.9148 0.2500 N
```

Results
Symmetry: C2/c (15)
Final energy (Ry per atom): -0.4085